Entry 1:
KYMg14O16 (PBE-GGA, relaxed); DFT formation energy = -2.89 eV per atom; distance to the lowest polymorph of the same formula = 12 meV/atom; SG = No. 47
1.0
4.431 0.000 0.000
0.000 8.683 0.000
0.000 0.000 8.873
K Y Mg O
1 1 14 16
direct
0.000 0.000 0.000 K
0.000 0.000 0.500 Y
0.000 0.257 0.242 Mg
0.000 0.257 0.758 Mg
0.000 0.500 0.000 Mg
0.000 0.500 0.500 Mg
0.000 0.743 0.242 Mg
0.000 0.743 0.758 Mg
0.500 0.000 0.236 Mg
0.500 0.000 0.764 Mg
0.500 0.252 0.000 Mg
0.500 0.262 0.500 Mg
0.500 0.500 0.247 Mg
0.500 0.500 0.753 Mg
0.500 0.738 0.500 Mg
0.500 0.748 0.000 Mg
0.000 0.000 0.260 O
0.000 0.000 0.740 O
0.000 0.262 0.500 O
0.000 0.276 0.000 O
0.000 0.500 0.255 O
0.000 0.500 0.745 O
0.000 0.724 0.000 O
0.000 0.738 0.500 O
0.500 0.000 0.000 O
0.500 0.000 0.500 O
0.500 0.249 0.252 O
0.500 0.249 0.748 O
0.500 0.500 0.000 O
0.500 0.500 0.500 O
0.500 0.751 0.252 O
0.500 0.751 0.748 O

***

Entry 2:
Nb2Bi2PbO9 (PBE-GGA, relaxed); DFT formation energy = -2.33 eV per atom; distance to the lowest polymorph of the same formula = 39 meV/atom; SG = No. 139
1.0
-1.982 1.982 12.560
1.982 -1.982 12.560
1.982 1.982 -12.560
Nb Bi Pb O
2 2 1 9
direct
0.088 0.088 0.000 Nb
0.912 0.912 0.000 Nb
0.299 0.299 0.000 Bi
0.701 0.701 0.000 Bi
0.500 0.500 0.000 Pb
0.000 0.000 0.000 O
0.080 0.580 0.500 O
0.163 0.163 0.000 O
0.250 0.750 0.500 O
0.420 0.920 0.500 O
0.580 0.080 0.500 O
0.750 0.250 0.500 O
0.837 0.837 0.000 O
0.920 0.420 0.500 O

***

Entry 3:
PuMnAl (PBE-GGA, relaxed); DFT formation energy = -0.10 eV per atom; SG = No. 38
1.0
8.571 0.000 0.000
0.000 2.739 4.625
0.000 -2.739 4.625
Pu Mn Al
4 4 4
direct
0.169 0.000 0.000 Pu
0.300 0.666 0.666 Pu
0.700 0.666 0.666 Pu
0.831 0.000 0.000 Pu
0.000 0.497 0.497 Mn
0.000 0.499 0.993 Mn
0.000 0.993 0.499 Mn
0.500 0.169 0.169 Mn
0.244 0.329 0.329 Al
0.500 0.163 0.676 Al
0.500 0.676 0.163 Al
0.756 0.329 0.329 Al

***

Entry 4:
MgSi (PBE-GGA, relaxed); DFT formation energy = 0.09 eV per atom; SG = No. 8
1.0
5.733 -1.979 0.000
5.733 1.979 0.000
-0.363 0.000 10.021
Mg Si
6 6
direct
0.000 0.000 0.000 Mg
0.217 0.217 0.329 Mg
0.381 0.381 0.775 Mg
0.541 0.541 0.493 Mg
0.670 0.670 0.825 Mg
0.835 0.835 0.538 Mg
0.019 0.019 0.715 Si
0.193 0.193 0.602 Si
0.278 0.278 0.006 Si
0.552 0.552 0.202 Si
0.767 0.767 0.141 Si
0.944 0.944 0.294 Si

***

Entry 5:
Li2AgF5 (PBE-GGA, relaxed); DFT formation energy = -2.22 eV per atom; distance to the lowest polymorph of the same formula = 18 meV/atom; SG = No. 63
1.0
2.236 -5.132 0.000
2.236 5.132 0.000
0.000 0.000 9.769
Li Ag F
4 2 10
direct
0.140 0.860 0.580 Li
0.140 0.860 0.920 Li
0.860 0.140 0.080 Li
0.860 0.140 0.420 Li
0.191 0.809 0.250 Ag
0.809 0.191 0.750 Ag
0.057 0.943 0.106 F
0.057 0.943 0.394 F
0.219 0.781 0.750 F
0.316 0.684 0.090 F
0.316 0.684 0.410 F
0.684 0.316 0.590 F
0.684 0.316 0.910 F
0.781 0.219 0.250 F
0.943 0.057 0.606 F
0.943 0.057 0.894 F

***

Entry 6:
Na6Mg2Si3Sn2S3O24 (PBE-GGA, relaxed); DFT formation energy = -2.39 eV per atom; SG = No. 1
1.0
9.024 0.000 0.000
4.461 7.862 0.000
0.304 -0.111 22.392
Na Mg Si Sn S O
18 6 9 6 9 72
direct
0.000 0.000 0.000 Na
0.001 0.306 0.518 Na
0.333 0.298 0.678 Na
0.334 0.678 0.164 Na
0.336 0.634 0.858 Na
0.350 0.342 0.365 Na
0.355 0.986 0.092 Na
0.356 0.969 0.604 Na
0.642 0.650 0.014 Na
0.643 0.022 0.529 Na
0.662 0.332 0.443 Na
0.667 0.316 0.937 Na
0.668 0.943 0.180 Na
0.670 0.700 0.691 Na
0.721 0.629 0.353 Na
0.735 0.954 0.854 Na
0.990 0.663 0.266 Na
0.996 0.673 0.774 Na
0.000 0.658 0.416 Mg
0.006 0.661 0.912 Mg
0.362 0.973 0.751 Mg
0.364 0.971 0.246 Mg
0.655 0.327 0.577 Mg
0.660 0.329 0.074 Mg
0.057 0.983 0.847 Si
0.301 0.364 0.510 Si
0.304 0.647 0.012 Si
0.653 0.674 0.843 Si
0.653 0.986 0.343 Si
0.682 0.020 0.678 Si
0.685 0.606 0.179 Si
0.703 0.958 0.011 Si
0.712 0.645 0.511 Si
0.002 0.661 0.612 Sn
0.350 0.964 0.946 Sn
0.362 0.988 0.451 Sn
0.687 0.316 0.279 Sn
0.701 0.295 0.786 Sn
0.991 0.654 0.106 Sn
0.019 0.351 0.013 S
0.020 0.942 0.511 S
0.056 0.266 0.346 S
0.342 0.694 0.345 S
0.344 0.275 0.844 S
0.380 0.319 0.183 S
0.381 0.609 0.680 S
0.977 0.317 0.677 S
0.981 0.018 0.180 S
0.041 0.811 0.850 O
0.047 0.420 0.072 O
0.048 0.433 0.345 O
0.053 0.842 0.568 O
0.126 0.174 0.404 O
0.128 0.019 0.911 O
0.148 0.170 0.683 O
0.150 0.999 0.189 O
0.159 0.164 0.295 O
0.172 0.180 0.010 O
0.172 0.966 0.504 O
0.174 0.976 0.792 O
0.183 0.451 0.572 O
0.188 0.674 0.077 O
0.196 0.444 0.852 O
0.198 0.663 0.351 O
0.208 0.633 0.955 O
0.209 0.467 0.451 O
0.210 0.616 0.675 O
0.213 0.479 0.178 O
0.300 0.175 0.511 O
0.307 0.833 0.015 O
0.330 0.786 0.290 O
0.334 0.198 0.788 O
0.357 0.170 0.190 O
0.360 0.780 0.684 O
0.363 0.782 0.399 O
0.374 0.160 0.897 O
0.454 0.506 0.736 O
0.455 0.349 0.240 O
0.491 0.523 0.628 O
0.497 0.288 0.133 O
0.497 0.316 0.515 O
0.498 0.498 0.017 O
0.503 0.293 0.844 O
0.507 0.521 0.345 O
0.511 0.976 0.006 O
0.511 0.999 0.682 O
0.514 0.796 0.184 O
0.520 0.822 0.510 O
0.522 0.035 0.403 O
0.526 0.752 0.905 O
0.560 0.963 0.285 O
0.572 0.793 0.786 O
0.641 0.495 0.838 O
0.654 0.173 0.340 O
0.662 0.502 0.127 O
0.665 0.133 0.620 O
0.700 0.108 0.741 O
0.705 0.132 0.024 O
0.706 0.472 0.522 O
0.713 0.504 0.246 O
0.768 0.833 0.075 O
0.792 0.699 0.569 O
0.818 0.623 0.450 O
0.825 0.859 0.956 O
0.835 0.817 0.351 O
0.839 0.650 0.854 O
0.855 0.145 0.849 O
0.855 0.823 0.677 O
0.858 0.633 0.177 O
0.863 0.350 0.731 O
0.865 0.334 0.020 O
0.867 0.095 0.235 O
0.868 0.112 0.518 O
0.876 0.297 0.345 O
0.895 0.304 0.623 O
0.899 0.115 0.127 O
0.994 0.477 0.677 O
0.997 0.842 0.179 O
0.998 0.463 0.964 O
0.998 0.854 0.461 O